[1]
First-principles (r2SCAN) data for crystalline Pb2SO5 at its relaxed geometry, as listed in the Materials Project database.

a = 7.4527 Å, b = 7.4527 Å, c = 7.0700 Å
α = 113.30°, β = 113.30°, γ = 44.93°
Closest atoms and distances in Å follow each position.
Positions (direct):
Pb1 0.0261 0.0261 0.2732  3 O 2.29-2.55
Pb2 0.3536 0.3536 0.8963  3 O 2.33-2.57
Pb3 0.6464 0.6464 0.1037  3 O 2.33-2.57
Pb4 0.9739 0.9739 0.7268  3 O 2.29-2.55
S1 0.3314 0.3314 0.3451  4 O 1.48
S2 0.6686 0.6686 0.6549  4 O 1.48
O1 0.1450 0.5685 0.2530  1 S 1.48
O2 0.2149 0.2149 0.2923  1 S 1.48
O3 0.2470 0.7530 0.0000  4 Pb 2.29-2.33
O4 0.3949 0.3949 0.5748  1 S 1.48
O5 0.4315 0.8550 0.7470  1 S 1.48
O6 0.5685 0.1450 0.2530  1 S 1.48
O7 0.6051 0.6051 0.4252  1 S 1.48
O8 0.7530 0.2470 0.0000  4 Pb 2.29-2.33
O9 0.7851 0.7851 0.7077  1 S 1.48
O10 0.8550 0.4315 0.7470  1 S 1.48

## Properties
DFT formation energy (eV per atom): -1.541
Raw total energy (eV per atom): -20.350

---

[2]
First-principles (r2SCAN) data for crystalline Y2O3 at its relaxed geometry, as listed in the Materials Project database.

a = 8.5385 Å, b = 3.4708 Å, c = 14.3211 Å
α = 90.00°, β = 98.75°, γ = 90.00°
Closest atoms and distances in Å follow each position.
Positions (direct):
Y1 0.0055 0.2500 0.1075  6 O 2.22-2.44
Y2 0.0443 0.7500 0.6161  7 O 2.27-2.44
Y3 0.3168 0.2500 0.4919  6 O 2.23-2.40
Y4 0.3183 0.2500 0.7847  6 O 2.23-2.43
Y5 0.3212 0.7500 0.2808  6 O 2.20-2.43
Y6 0.3681 0.2500 0.0634  5 O 2.22-2.43
Y7 0.6319 0.7500 0.9366  5 O 2.22-2.43
Y8 0.6788 0.2500 0.7192  6 O 2.20-2.43
Y9 0.6817 0.7500 0.2153  6 O 2.23-2.43
Y10 0.6832 0.7500 0.5081  6 O 2.23-2.40
Y11 0.9557 0.2500 0.3839  7 O 2.27-2.44
Y12 0.9945 0.7500 0.8925  6 O 2.22-2.44
O1 0.1204 0.7500 0.4686  5 Y 2.30-2.44
O2 0.1266 0.2500 0.9642  4 Y 2.23-2.44
O3 0.1536 0.7500 0.7833  4 Y 2.22-2.43
O4 0.1813 0.2500 0.3149  3 Y 2.20-2.29
O5 0.2021 0.7500 0.1288  5 Y 2.26-2.51
O6 0.2174 0.2500 0.6308  4 Y 2.24-2.28
O7 0.4376 0.7500 0.4290  4 Y 2.20-2.27
O8 0.4676 0.2500 0.9265  4 Y 2.22-2.25
O9 0.4868 0.2500 0.2285  5 Y 2.43
O10 0.5132 0.7500 0.7715  5 Y 2.43
O11 0.5324 0.7500 0.0735  4 Y 2.22-2.25
O12 0.5624 0.2500 0.5710  4 Y 2.20-2.27
O13 0.7826 0.7500 0.3692  4 Y 2.24-2.28
O14 0.7979 0.2500 0.8712  5 Y 2.26-2.51
O15 0.8187 0.7500 0.6851  3 Y 2.20-2.29
O16 0.8464 0.2500 0.2167  4 Y 2.22-2.43
O17 0.8734 0.7500 0.0358  4 Y 2.23-2.44
O18 0.8796 0.2500 0.5314  5 Y 2.30-2.44

## Properties
DFT formation energy (eV per atom): -3.861
Raw total energy (eV per atom): -15.570

---

[3]
First-principles (r2SCAN) data for crystalline Tm2B6Rh at its relaxed geometry, as listed in the Materials Project database.

a = 9.0866 Å, b = 11.4094 Å, c = 3.6051 Å
α = 90.00°, β = 90.00°, γ = 90.00°
Closest atoms and distances in Å follow each position.
Positions (direct):
Tm1 0.0556 0.1264 0.0000  12 B 2.57-2.60, 2 Rh 2.83-2.84
Tm2 0.1778 0.4136 0.0000  14 B 2.69-2.78
Tm3 0.3222 0.9136 0.0000  14 B 2.69-2.78
Tm4 0.4444 0.6264 0.0000  12 B 2.57-2.60, 2 Rh 2.83-2.84
Tm5 0.5556 0.3736 0.0000  12 B 2.57-2.60, 2 Rh 2.83-2.84
Tm6 0.6778 0.0864 0.0000  14 B 2.69-2.78
Tm7 0.8222 0.5864 0.0000  14 B 2.69-2.78
Tm8 0.9444 0.8736 0.0000  12 B 2.57-2.60, 2 Rh 2.83-2.84
B1 0.0177 0.2874 0.5000  3 B 1.80-1.81
B2 0.0533 0.5656 0.5000  3 B 1.78-1.80
B3 0.1098 0.9700 0.5000  2 B 1.77-1.79
B4 0.1333 0.8161 0.5000  3 B 1.73-1.81
B5 0.2054 0.2359 0.5000  3 B 1.73-1.83
B6 0.2494 0.5794 0.5000  3 B 1.79-1.83
B7 0.2506 0.0794 0.5000  3 B 1.79-1.83
B8 0.2946 0.7359 0.5000  3 B 1.73-1.83
B9 0.3667 0.3161 0.5000  3 B 1.73-1.81
B10 0.3902 0.4700 0.5000  2 B 1.77-1.79
B11 0.4467 0.0656 0.5000  3 B 1.78-1.80
B12 0.4823 0.7874 0.5000  3 B 1.80-1.81
B13 0.5177 0.2126 0.5000  3 B 1.80-1.81
B14 0.5533 0.9344 0.5000  3 B 1.78-1.80
B15 0.6098 0.5300 0.5000  2 B 1.77-1.79
B16 0.6333 0.6839 0.5000  3 B 1.73-1.81
B17 0.7054 0.2641 0.5000  3 B 1.73-1.83
B18 0.7494 0.9206 0.5000  3 B 1.79-1.83
B19 0.7506 0.4206 0.5000  3 B 1.79-1.83
B20 0.7946 0.7641 0.5000  3 B 1.73-1.83
B21 0.8667 0.1839 0.5000  3 B 1.73-1.81
B22 0.8902 0.0300 0.5000  2 B 1.77-1.79
B23 0.9467 0.4344 0.5000  3 B 1.78-1.80
B24 0.9823 0.7126 0.5000  3 B 1.80-1.81
Rh1 0.1397 0.6791 0.0000  10 B 2.33-2.39
Rh2 0.3603 0.1791 0.0000  10 B 2.33-2.39
Rh3 0.6397 0.8209 0.0000  10 B 2.33-2.39
Rh4 0.8603 0.3209 0.0000  10 B 2.33-2.39

## Properties
DFT formation energy (eV per atom): -0.744
Raw total energy (eV per atom): -16.128

---

[4]
First-principles (r2SCAN) data for crystalline ErGa2Cu3 at its relaxed geometry, as listed in the Materials Project database.

a = 5.0478 Å, b = 5.0478 Å, c = 4.0688 Å
α = 90.00°, β = 90.00°, γ = 118.55°
Closest atoms and distances in Å follow each position.
Positions (direct):
Er1 0.0000 0.0000 0.0000  6 Cu 2.93-2.94, 8 Ga 3.24
Ga1 0.0000 0.5000 0.5000  6 Cu 2.52-2.53, 2 Ga 2.58
Ga2 0.5000 0.0000 0.5000  6 Cu 2.52-2.53, 2 Ga 2.58
Cu1 0.3376 0.6624 0.0000  2 Cu 2.47, 4 Ga 2.53
Cu2 0.5000 0.5000 0.5000  4 Cu 2.47, 4 Ga 2.52
Cu3 0.6624 0.3376 0.0000  2 Cu 2.47, 4 Ga 2.53

## Properties
DFT formation energy (eV per atom): -0.412
Raw total energy (eV per atom): -15.304

---

[5]
First-principles (r2SCAN) data for crystalline LiVO2 at its relaxed geometry, as listed in the Materials Project database.

a = 5.8367 Å, b = 5.8367 Å, c = 5.8367 Å
α = 60.00°, β = 60.00°, γ = 60.00°
Closest atoms and distances in Å follow each position.
Positions (direct):
Li1 0.0000 0.0000 0.0000  6 O 2.11
Li2 0.0000 0.0000 0.5000  6 O 2.11
Li3 0.0000 0.5000 0.0000  6 O 2.11
Li4 0.5000 0.0000 0.0000  6 O 2.11
V1 0.0000 0.5000 0.5000  6 O 2.02
V2 0.5000 0.0000 0.5000  6 O 2.02
V3 0.5000 0.5000 0.0000  6 O 2.02
V4 0.5000 0.5000 0.5000  6 O 2.02
O1 0.2551 0.2551 0.2551  3 V 2.02, 3 Li 2.11
O2 0.2551 0.2551 0.7347  3 V 2.02, 3 Li 2.11
O3 0.2551 0.7347 0.2551  3 V 2.02, 3 Li 2.11
O4 0.2653 0.7449 0.7449  3 V 2.02, 3 Li 2.11
O5 0.7347 0.2551 0.2551  3 V 2.02, 3 Li 2.11
O6 0.7449 0.2653 0.7449  3 V 2.02, 3 Li 2.11
O7 0.7449 0.7449 0.2653  3 V 2.02, 3 Li 2.11
O8 0.7449 0.7449 0.7449  3 V 2.02, 3 Li 2.11

## Properties
DFT formation energy (eV per atom): -2.547
Raw total energy (eV per atom): -9.652

---

[6]
First-principles (r2SCAN) data for crystalline BaCoN at its relaxed geometry, as listed in the Materials Project database.

a = 9.6339 Å, b = 23.7415 Å, c = 5.5193 Å
α = 90.00°, β = 90.00°, γ = 90.00°
Closest atoms and distances in Å follow each position.
Positions (direct):
Ba1 0.0015 0.2500 0.0049  4 N 2.79-2.89
Ba2 0.1582 0.5492 0.4929  4 N 2.82-3.16
Ba3 0.1582 0.9508 0.4929  4 N 2.82-3.16
Ba4 0.1718 0.1504 0.4607  4 N 2.87-3.04
Ba5 0.1718 0.3496 0.4607  4 N 2.87-3.04
Ba6 0.3282 0.6504 0.9607  4 N 2.87-3.04
Ba7 0.3282 0.8496 0.9607  4 N 2.87-3.04
Ba8 0.3418 0.0492 0.9929  4 N 2.82-3.16
Ba9 0.3418 0.4508 0.9929  4 N 2.82-3.16
Ba10 0.4985 0.7500 0.5049  4 N 2.79-2.89
Ba11 0.5015 0.2500 0.4951  4 N 2.79-2.89
Ba12 0.6582 0.5492 0.0071  4 N 2.82-3.16
Ba13 0.6582 0.9508 0.0071  4 N 2.82-3.16
Ba14 0.6718 0.1504 0.0393  4 N 2.87-3.04
Ba15 0.6718 0.3496 0.0393  4 N 2.87-3.04
Ba16 0.8282 0.6504 0.5393  4 N 2.87-3.04
Ba17 0.8282 0.8496 0.5393  4 N 2.87-3.04
Ba18 0.8418 0.0492 0.5071  4 N 2.82-3.16
Ba19 0.8418 0.4508 0.5071  4 N 2.82-3.16
Ba20 0.9985 0.7500 0.9951  4 N 2.79-2.89
Co1 0.0000 0.0000 0.0000  2 N 1.82
Co2 0.0000 0.5000 0.0000  2 N 1.82
Co3 0.0052 0.6032 0.0386  2 N 1.77-1.80
Co4 0.0052 0.8968 0.0386  2 N 1.77-1.80
Co5 0.1534 0.6973 0.4641  2 N 1.77-1.81
Co6 0.1534 0.8027 0.4641  2 N 1.77-1.81
Co7 0.3466 0.1973 0.9641  2 N 1.77-1.81
Co8 0.3466 0.3027 0.9641  2 N 1.77-1.81
Co9 0.4948 0.1032 0.5386  2 N 1.77-1.80
Co10 0.4948 0.3968 0.5386  2 N 1.77-1.80
Co11 0.5000 0.0000 0.5000  2 N 1.82
Co12 0.5000 0.5000 0.5000  2 N 1.82
Co13 0.5052 0.6032 0.4614  2 N 1.77-1.80
Co14 0.5052 0.8968 0.4614  2 N 1.77-1.80
Co15 0.6534 0.6973 0.0359  2 N 1.77-1.81
Co16 0.6534 0.8027 0.0359  2 N 1.77-1.81
Co17 0.8466 0.1973 0.5359  2 N 1.77-1.81
Co18 0.8466 0.3027 0.5359  2 N 1.77-1.81
Co19 0.9948 0.1032 0.9614  2 N 1.77-1.80
Co20 0.9948 0.3968 0.9614  2 N 1.77-1.80
N1 0.0700 0.0571 0.1835  2 Co 1.80-1.82
N2 0.0700 0.4429 0.1835  2 Co 1.80-1.82
N3 0.0795 0.6494 0.2538  2 Co 1.77
N4 0.0795 0.8506 0.2538  2 Co 1.77
N5 0.2237 0.7500 0.6673  2 Co 1.81
N6 0.2763 0.2500 0.1673  2 Co 1.81
N7 0.4205 0.1494 0.7538  2 Co 1.77
N8 0.4205 0.3506 0.7538  2 Co 1.77
N9 0.4300 0.5571 0.6835  2 Co 1.80-1.82
N10 0.4300 0.9429 0.6835  2 Co 1.80-1.82
N11 0.5700 0.0571 0.3165  2 Co 1.80-1.82
N12 0.5700 0.4429 0.3165  2 Co 1.80-1.82
N13 0.5795 0.6494 0.2462  2 Co 1.77
N14 0.5795 0.8506 0.2462  2 Co 1.77
N15 0.7237 0.7500 0.8327  2 Co 1.81
N16 0.7763 0.2500 0.3327  2 Co 1.81
N17 0.9205 0.1494 0.7462  2 Co 1.77
N18 0.9205 0.3506 0.7462  2 Co 1.77
N19 0.9300 0.5571 0.8165  2 Co 1.80-1.82
N20 0.9300 0.9429 0.8165  2 Co 1.80-1.82

## Properties
DFT formation energy (eV per atom): -0.519
Raw total energy (eV per atom): -16.806

---

[7]
First-principles (r2SCAN) data for crystalline Be3Co at its relaxed geometry, as listed in the Materials Project database.

a = 4.1217 Å, b = 4.1217 Å, c = 4.1217 Å
α = 135.93°, β = 135.93°, γ = 64.08°
Closest atoms and distances in Å follow each position.
Positions (direct):
Be1 0.0000 0.0000 0.0000  4 Co 2.19, 8 Be 2.33
Be2 0.2500 0.7500 0.5000  8 Be 2.19-2.33, 4 Co 2.33
Be3 0.7500 0.2500 0.5000  8 Be 2.19-2.33, 4 Co 2.33
Co1 0.5000 0.5000 0.0000  12 Be 2.19-2.33

## Properties
DFT formation energy (eV per atom): -0.229
Raw total energy (eV per atom): -6.791

---

[8]
First-principles (r2SCAN) data for crystalline SmAlSi at its relaxed geometry, as listed in the Materials Project database.

a = 7.8222 Å, b = 7.8222 Å, c = 7.8222 Å
α = 149.03°, β = 149.03°, γ = 44.37°
Closest atoms and distances in Å follow each position.
Positions (direct):
Sm1 0.0000 0.0000 0.0000  6 Si 3.18-3.21, 6 Al 3.19
Sm2 0.7500 0.2500 0.5000  6 Si 3.18-3.21, 6 Al 3.19
Al1 0.3340 0.8340 0.5000  3 Si 2.40-2.42
Al2 0.5840 0.5840 0.0000  3 Si 2.40-2.42
Si1 0.1684 0.6684 0.5000  3 Al 2.40-2.42
Si2 0.4184 0.4184 0.0000  3 Al 2.40-2.42

## Properties
DFT formation energy (eV per atom): -0.727
Raw total energy (eV per atom): -15.807